A:
First-principles (PBE) data for a relaxed Li2Cu2S3O12 crystal, as listed in the Materials Project.

Computed properties:
SG = No. 61
calculated volume = 1811 Å³/cell

Cell lengths 8.6465, 8.6809, 24.1315 Å; angles 90.00, 90.00, 90.00 degrees
Closest atoms and distances in Å follow each position.
Atoms (fractional coordinates):
Li1 0.0376 0.6235 0.2909  4 O 1.93-1.99
Li2 0.0376 0.8765 0.7909  4 O 1.93-1.99
Li3 0.1465 0.9311 0.0082  4 O 1.96-2.04
Li4 0.1465 0.5689 0.5082  4 O 1.96-2.04
Li5 0.3535 0.0689 0.5082  4 O 1.96-2.04
Li6 0.3535 0.4311 0.0082  4 O 1.96-2.04
Li7 0.4624 0.1235 0.2909  4 O 1.93-1.99
Li8 0.4624 0.3765 0.7909  4 O 1.93-1.99
Li9 0.5376 0.6235 0.2091  4 O 1.93-1.99
Li10 0.5376 0.8765 0.7091  4 O 1.93-1.99
Li11 0.6465 0.5689 0.9918  4 O 1.96-2.04
Li12 0.6465 0.9311 0.4918  4 O 1.96-2.04
Li13 0.8535 0.4311 0.4918  4 O 1.96-2.04
Li14 0.8535 0.0689 0.9918  4 O 1.96-2.04
Li15 0.9624 0.1235 0.2091  4 O 1.93-1.99
Li16 0.9624 0.3765 0.7091  4 O 1.93-1.99
Cu1 0.0063 0.4016 0.0657  5 O 2.02-2.17
Cu2 0.0063 0.0984 0.5657  5 O 2.02-2.17
Cu3 0.9976 0.7972 0.1794  6 O 2.00-2.19
Cu4 0.9976 0.7028 0.6794  6 O 2.00-2.19
Cu5 0.5024 0.2972 0.1794  6 O 2.00-2.19
Cu6 0.5024 0.2028 0.6794  6 O 2.00-2.19
Cu7 0.4937 0.5984 0.5657  5 O 2.02-2.17
Cu8 0.4937 0.9016 0.0657  5 O 2.02-2.17
Cu9 0.5063 0.4016 0.4343  5 O 2.02-2.17
Cu10 0.5063 0.0984 0.9343  5 O 2.02-2.17
Cu11 0.4976 0.7028 0.8206  6 O 2.00-2.19
Cu12 0.4976 0.7972 0.3206  6 O 2.00-2.19
Cu13 0.0024 0.2972 0.3206  6 O 2.00-2.19
Cu14 0.0024 0.2028 0.8206  6 O 2.00-2.19
Cu15 0.9937 0.9016 0.4343  5 O 2.02-2.17
Cu16 0.9937 0.5984 0.9343  5 O 2.02-2.17
S1 0.1425 0.9479 0.2979  4 O 1.47-1.50
S2 0.1425 0.5521 0.7979  4 O 1.47-1.50
S3 0.1477 0.2529 0.4445  4 O 1.47-1.53
S4 0.1477 0.2471 0.9445  4 O 1.47-1.53
S5 0.1958 0.0941 0.1157  4 O 1.46-1.51
S6 0.1958 0.4059 0.6157  4 O 1.46-1.51
S7 0.3042 0.5941 0.1157  4 O 1.46-1.51
S8 0.3042 0.9059 0.6157  4 O 1.46-1.51
S9 0.3523 0.7529 0.4445  4 O 1.47-1.53
S10 0.3523 0.7471 0.9445  4 O 1.47-1.53
S11 0.3575 0.4479 0.2979  4 O 1.47-1.50
S12 0.3575 0.0521 0.7979  4 O 1.47-1.50
S13 0.6425 0.5521 0.7021  4 O 1.47-1.50
S14 0.6425 0.9479 0.2021  4 O 1.47-1.50
S15 0.6477 0.2529 0.0555  4 O 1.47-1.53
S16 0.6477 0.2471 0.5555  4 O 1.47-1.53
S17 0.6958 0.0941 0.3843  4 O 1.46-1.51
S18 0.6958 0.4059 0.8843  4 O 1.46-1.51
S19 0.8042 0.5941 0.3843  4 O 1.46-1.51
S20 0.8042 0.9059 0.8843  4 O 1.46-1.51
S21 0.8523 0.7529 0.0555  4 O 1.47-1.53
S22 0.8523 0.7471 0.5555  4 O 1.47-1.53
S23 0.8575 0.4479 0.2021  4 O 1.47-1.50
S24 0.8575 0.0521 0.7021  4 O 1.47-1.50
O1 0.0620 0.3888 0.4640  1 S 1.47
O2 0.0620 0.1112 0.9640  1 S 1.47
O3 0.0800 0.0984 0.2778  1 S 1.49
O4 0.0800 0.4016 0.7778  1 S 1.49
O5 0.0848 0.1059 0.4711  1 S 1.53
O6 0.0848 0.3941 0.9711  1 S 1.53
O7 0.0856 0.9080 0.3533  1 S 1.47
O8 0.0856 0.5920 0.8533  1 S 1.47
O9 0.0931 0.1893 0.0803  1 S 1.48
O10 0.0931 0.3107 0.5803  1 S 1.48
O11 0.0907 0.8228 0.2590  1 S 1.50
O12 0.0907 0.6772 0.7590  1 S 1.50
O13 0.0966 0.0086 0.1564  1 S 1.50
O14 0.0966 0.4914 0.6564  1 S 1.50
O15 0.1396 0.2358 0.3837  1 S 1.48
O16 0.1396 0.2642 0.8837  1 S 1.48
O17 0.1856 0.4579 0.2958  1 S 1.49
O18 0.1856 0.0421 0.7958  1 S 1.49
O19 0.1903 0.6838 0.1467  1 S 1.46
O20 0.1903 0.8162 0.6467  1 S 1.46
O21 0.1873 0.7637 0.4630  1 S 1.50
O22 0.1873 0.7363 0.9630  1 S 1.50
O23 0.2279 0.0174 0.5762  1 S 1.51
O24 0.2279 0.4826 0.0762  1 S 1.51
O25 0.2721 0.9826 0.0762  1 S 1.51
O26 0.2721 0.5174 0.5762  1 S 1.51
O27 0.3127 0.2363 0.9630  1 S 1.50
O28 0.3127 0.2637 0.4630  1 S 1.50
O29 0.3097 0.1838 0.1467  1 S 1.46
O30 0.3097 0.3162 0.6467  1 S 1.46
O31 0.3144 0.9579 0.2958  1 S 1.49
O32 0.3144 0.5421 0.7958  1 S 1.49
O33 0.3604 0.7358 0.3837  1 S 1.48
O34 0.3604 0.7642 0.8837  1 S 1.48
O35 0.4034 0.9914 0.6564  1 S 1.50
O36 0.4034 0.5086 0.1564  1 S 1.50
O37 0.4093 0.3229 0.2590  1 S 1.50
O38 0.4093 0.1772 0.7590  1 S 1.50
O39 0.4069 0.6893 0.0803  1 S 1.48
O40 0.4069 0.8107 0.5803  1 S 1.48
O41 0.4144 0.0920 0.8533  1 S 1.47
O42 0.4144 0.4080 0.3533  1 S 1.47
O43 0.4152 0.8941 0.9711  1 S 1.53
O44 0.4152 0.6059 0.4711  1 S 1.53
O45 0.4200 0.5984 0.2778  1 S 1.49
O46 0.4200 0.9016 0.7778  1 S 1.49
O47 0.4380 0.6112 0.9640  1 S 1.47
O48 0.4380 0.8888 0.4640  1 S 1.47
O49 0.5620 0.3888 0.0360  1 S 1.47
O50 0.5620 0.1112 0.5360  1 S 1.47
O51 0.5800 0.0984 0.2222  1 S 1.49
O52 0.5800 0.4016 0.7222  1 S 1.49
O53 0.5848 0.1059 0.0289  1 S 1.53
O54 0.5848 0.3941 0.5289  1 S 1.53
O55 0.5856 0.5920 0.6467  1 S 1.47
O56 0.5856 0.9080 0.1467  1 S 1.47
O57 0.5931 0.1893 0.4197  1 S 1.48
O58 0.5931 0.3107 0.9197  1 S 1.48
O59 0.5907 0.8228 0.2410  1 S 1.50
O60 0.5907 0.6772 0.7410  1 S 1.50
O61 0.5966 0.0086 0.3436  1 S 1.50
O62 0.5966 0.4914 0.8436  1 S 1.50
O63 0.6396 0.2358 0.1163  1 S 1.48
O64 0.6396 0.2642 0.6163  1 S 1.48
O65 0.6856 0.4579 0.2042  1 S 1.49
O66 0.6856 0.0421 0.7042  1 S 1.49
O67 0.6903 0.6838 0.3533  1 S 1.46
O68 0.6903 0.8162 0.8533  1 S 1.46
O69 0.6873 0.7637 0.0370  1 S 1.50
O70 0.6873 0.7363 0.5370  1 S 1.50
O71 0.7279 0.4826 0.4238  1 S 1.51
O72 0.7279 0.0174 0.9238  1 S 1.51
O73 0.7721 0.9826 0.4238  1 S 1.51
O74 0.7721 0.5174 0.9238  1 S 1.51
O75 0.8127 0.2637 0.0370  1 S 1.50
O76 0.8127 0.2363 0.5370  1 S 1.50
O77 0.8097 0.1838 0.3533  1 S 1.46
O78 0.8097 0.3162 0.8533  1 S 1.46
O79 0.8144 0.5421 0.7042  1 S 1.49
O80 0.8144 0.9579 0.2042  1 S 1.49
O81 0.8604 0.7358 0.1163  1 S 1.48
O82 0.8604 0.7642 0.6163  1 S 1.48
O83 0.9034 0.5086 0.3436  1 S 1.50
O84 0.9034 0.9914 0.8436  1 S 1.50
O85 0.9093 0.3229 0.2410  1 S 1.50
O86 0.9093 0.1772 0.7410  1 S 1.50
O87 0.9069 0.6893 0.4197  1 S 1.48
O88 0.9069 0.8107 0.9197  1 S 1.48
O89 0.9144 0.4080 0.1467  1 S 1.47
O90 0.9144 0.0920 0.6467  1 S 1.47
O91 0.9152 0.6059 0.0289  1 S 1.53
O92 0.9152 0.8941 0.5289  1 S 1.53
O93 0.9200 0.5984 0.2222  1 S 1.49
O94 0.9200 0.9016 0.7222  1 S 1.49
O95 0.9380 0.6112 0.5360  1 S 1.47
O96 0.9380 0.8888 0.0360  1 S 1.47

---

B:
First-principles (PBE) data for a relaxed Li2Cu2S3O12 crystal, as listed in the Materials Project.

Computed properties:
SG = No. 15
calculated volume = 451 Å³/cell

Cell lengths 7.9118, 7.9118, 9.2437 Å; angles 64.98, 64.98, 63.95 degrees
Closest atoms and distances in Å follow each position.
Atoms (fractional coordinates):
Li1 0.6746 0.8596 0.0496  4 O 2.00-2.14
Li2 0.8596 0.6746 0.5496  4 O 2.00-2.14
Li3 0.1404 0.3254 0.4504  4 O 2.00-2.14
Li4 0.3254 0.1404 0.9504  4 O 2.00-2.14
Cu1 0.3633 0.8692 0.4767  5 O 1.98-2.16
Cu2 0.8692 0.3633 0.9767  5 O 1.98-2.16
Cu3 0.1308 0.6367 0.0233  5 O 1.98-2.16
Cu4 0.6367 0.1308 0.5233  5 O 1.98-2.16
S1 0.7521 0.5429 0.3266  4 O 1.47-1.51
S2 0.5429 0.7521 0.8266  4 O 1.47-1.51
S3 0.0483 0.9517 0.2500  4 O 1.46-1.52
S4 0.9517 0.0483 0.7500  4 O 1.46-1.52
S5 0.4571 0.2479 0.1734  4 O 1.47-1.51
S6 0.2479 0.4571 0.6734  4 O 1.47-1.51
O1 0.8537 0.9613 0.3861  1 S 1.52
O2 0.9613 0.8537 0.8861  1 S 1.52
O3 0.8687 0.4953 0.4354  1 S 1.47
O4 0.6051 0.7462 0.3156  1 S 1.51
O5 0.8747 0.5596 0.1465  1 S 1.51
O6 0.4953 0.8687 0.9354  1 S 1.47
O7 0.2044 0.9152 0.3147  1 S 1.46
O8 0.6536 0.3975 0.3789  1 S 1.47
O9 0.7462 0.6051 0.8156  1 S 1.51
O10 0.5596 0.8747 0.6465  1 S 1.51
O11 0.9152 0.2044 0.8147  1 S 1.46
O12 0.6025 0.3464 0.1211  1 S 1.47
O13 0.3975 0.6536 0.8789  1 S 1.47
O14 0.0848 0.7956 0.1853  1 S 1.46
O15 0.4404 0.1253 0.3535  1 S 1.51
O16 0.2538 0.3949 0.1844  1 S 1.51
O17 0.3464 0.6025 0.6211  1 S 1.47
O18 0.7956 0.0848 0.6853  1 S 1.46
O19 0.5047 0.1313 0.0646  1 S 1.47
O20 0.1253 0.4404 0.8535  1 S 1.51
O21 0.3949 0.2538 0.6844  1 S 1.51
O22 0.1313 0.5047 0.5646  1 S 1.47
O23 0.0387 0.1463 0.1139  1 S 1.52
O24 0.1463 0.0387 0.6139  1 S 1.52

---

Verdict on stability: A comes out at the bottom.